Computed, not measured: a relaxed structure of Na5Mg5In3S12O48 at the GGA-PBE level of DFT.

Summary:
calculated total energy = -876.1 eV per cell
formation energy from the elements = -2.206 eV per atom
corrected total energy (MP2020 scheme) = -471.02 eV/f.u.

a = 8.767 Å, b = 9.035 Å, c = 29.212 Å
α = 88.97°, β = 81.40°, γ = 61.01°
Fractional positions:
1 Na 0.000 0.000 0.000
2 Na 0.001 0.127 0.557
3 Na 0.004 0.620 0.060
4 Na 0.240 0.005 0.188
5 Na 0.251 0.503 0.682
6 Na 0.501 0.878 0.807
7 Na 0.503 0.377 0.307
8 Na 0.516 0.910 0.086
9 Na 0.736 0.263 0.930
10 Na 0.751 0.753 0.432
11 Mg 0.030 0.407 0.218
12 Mg 0.030 0.908 0.719
13 Mg 0.224 0.228 0.020
14 Mg 0.472 0.097 0.646
15 Mg 0.474 0.589 0.146
16 Mg 0.530 0.158 0.469
17 Mg 0.533 0.655 0.970
18 Mg 0.776 0.045 0.098
19 Mg 0.971 0.348 0.396
20 Mg 0.973 0.847 0.895
21 In 0.224 0.719 0.520
22 In 0.278 0.288 0.845
23 In 0.278 0.786 0.345
24 In 0.724 0.469 0.770
25 In 0.724 0.969 0.270
26 In 0.778 0.536 0.595
27 S 0.179 0.182 0.744
28 S 0.179 0.681 0.244
29 S 0.229 0.861 0.068
30 S 0.230 0.506 0.420
31 S 0.233 0.357 0.569
32 S 0.235 0.008 0.921
33 S 0.269 0.149 0.296
34 S 0.269 0.649 0.796
35 S 0.270 0.501 0.946
36 S 0.271 0.999 0.445
37 S 0.323 0.823 0.621
38 S 0.328 0.316 0.120
39 S 0.675 0.938 0.995
40 S 0.678 0.432 0.494
41 S 0.728 0.760 0.169
42 S 0.730 0.256 0.670
43 S 0.733 0.107 0.819
44 S 0.733 0.607 0.319
45 S 0.769 0.898 0.546
46 S 0.772 0.247 0.195
47 S 0.772 0.749 0.695
48 S 0.775 0.391 0.046
49 S 0.823 0.073 0.371
50 S 0.823 0.573 0.871
51 O 0.004 0.340 0.756
52 O 0.005 0.840 0.256
53 O 0.052 0.872 0.074
54 O 0.058 0.359 0.573
55 O 0.065 0.508 0.414
56 O 0.066 0.010 0.917
57 O 0.131 0.671 0.937
58 O 0.133 0.166 0.436
59 O 0.152 0.267 0.336
60 O 0.153 0.767 0.835
61 O 0.159 0.534 0.234
62 O 0.160 0.034 0.735
63 O 0.182 0.637 0.458
64 O 0.193 0.130 0.960
65 O 0.199 0.196 0.252
66 O 0.200 0.697 0.752
67 O 0.200 0.949 0.489
68 O 0.201 0.534 0.562
69 O 0.203 0.446 0.989
70 O 0.212 0.029 0.057
71 O 0.222 0.787 0.661
72 O 0.227 0.282 0.160
73 O 0.230 0.858 0.580
74 O 0.235 0.347 0.079
75 O 0.272 0.147 0.786
76 O 0.273 0.646 0.285
77 O 0.280 0.218 0.705
78 O 0.280 0.717 0.204
79 O 0.299 0.060 0.877
80 O 0.301 0.310 0.613
81 O 0.301 0.472 0.803
82 O 0.301 0.557 0.376
83 O 0.301 0.972 0.303
84 O 0.305 0.814 0.112
85 O 0.316 0.375 0.906
86 O 0.318 0.868 0.408
87 O 0.341 0.971 0.631
88 O 0.343 0.735 0.030
89 O 0.346 0.466 0.130
90 O 0.349 0.239 0.530
91 O 0.368 0.339 0.430
92 O 0.373 0.837 0.928
93 O 0.436 0.499 0.951
94 O 0.437 0.996 0.451
95 O 0.443 0.146 0.292
96 O 0.444 0.647 0.792
97 O 0.495 0.084 0.006
98 O 0.498 0.665 0.610
99 O 0.504 0.590 0.506
100 O 0.505 0.160 0.110
101 O 0.558 0.610 0.323
102 O 0.559 0.109 0.824
103 O 0.562 0.761 0.162
104 O 0.565 0.258 0.664
105 O 0.633 0.916 0.686
106 O 0.635 0.418 0.187
107 O 0.652 0.017 0.585
108 O 0.656 0.516 0.085
109 O 0.660 0.284 0.484
110 O 0.668 0.781 0.985
111 O 0.678 0.886 0.208
112 O 0.682 0.387 0.708
113 O 0.700 0.699 0.739
114 O 0.700 0.946 0.502
115 O 0.701 0.283 0.812
116 O 0.701 0.784 0.312
117 O 0.702 0.438 0.002
118 O 0.703 0.196 0.239
119 O 0.722 0.036 0.411
120 O 0.723 0.536 0.910
121 O 0.730 0.107 0.330
122 O 0.730 0.608 0.830
123 O 0.767 0.910 0.036
124 O 0.772 0.397 0.536
125 O 0.778 0.976 0.956
126 O 0.780 0.468 0.455
127 O 0.790 0.819 0.125
128 O 0.798 0.218 0.055
129 O 0.801 0.307 0.626
130 O 0.801 0.722 0.553
131 O 0.802 0.560 0.363
132 O 0.803 0.059 0.863
133 O 0.812 0.122 0.157
134 O 0.818 0.618 0.658
135 O 0.841 0.221 0.381
136 O 0.841 0.721 0.881
137 O 0.850 0.489 0.280
138 O 0.850 0.989 0.780
139 O 0.868 0.089 0.680
140 O 0.868 0.591 0.177
141 O 0.937 0.746 0.701
142 O 0.939 0.243 0.201
143 O 0.944 0.896 0.542
144 O 0.949 0.385 0.041
145 O 0.998 0.415 0.860
146 O 0.998 0.915 0.360